First-principles (GGA+U) data for a relaxed BaBi12Mo5O34 crystal, as listed in the Materials Project database.

Geometry as POSCAR:
```
BaBi12Mo5O34
1.0
5.9232 0.0000 0.0000
0.0000 11.9821 0.0000
0.0000 5.5778 24.8705
Ba Bi Mo O
2 24 10 68
Direct
0.0000 0.0000 0.5000 Ba
0.0000 0.0000 0.0000 Ba
0.9852 0.7656 0.8412 Bi
0.0148 0.2344 0.1588 Bi
0.9852 0.2344 0.6588 Bi
0.0148 0.7656 0.3412 Bi
0.4746 0.7422 0.6020 Bi
0.5254 0.2578 0.3980 Bi
0.4746 0.2578 0.8980 Bi
0.5254 0.7422 0.1020 Bi
0.9851 0.8590 0.6786 Bi
0.0149 0.1410 0.3214 Bi
0.9851 0.1410 0.8214 Bi
0.0149 0.8590 0.1786 Bi
0.9190 0.5399 0.1746 Bi
0.0810 0.4601 0.8254 Bi
0.9190 0.4601 0.3254 Bi
0.0810 0.5399 0.6746 Bi
0.5816 0.6559 0.7551 Bi
0.4184 0.3441 0.2449 Bi
0.5816 0.3441 0.7449 Bi
0.4184 0.6559 0.2551 Bi
0.4818 0.5810 0.9075 Bi
0.5182 0.4190 0.0925 Bi
0.4818 0.4190 0.5925 Bi
0.5182 0.5810 0.4075 Bi
0.4844 0.0000 0.7500 Mo
0.5156 0.0000 0.2500 Mo
0.4991 0.9235 0.9208 Mo
0.5009 0.0765 0.0792 Mo
0.4991 0.0765 0.5792 Mo
0.5009 0.9235 0.4208 Mo
0.9754 0.6595 0.5133 Mo
0.0246 0.3405 0.4867 Mo
0.9754 0.3405 0.9867 Mo
0.0246 0.6595 0.0133 Mo
0.7725 0.5000 0.7500 O
0.2275 0.5000 0.2500 O
0.7274 0.9763 0.1029 O
0.2726 0.0237 0.8971 O
0.7274 0.0237 0.3971 O
0.2726 0.9763 0.6029 O
0.4229 0.5616 0.6332 O
0.5771 0.4384 0.3668 O
0.4229 0.4384 0.8668 O
0.5771 0.5616 0.1332 O
0.2327 0.6350 0.8418 O
0.7673 0.3650 0.1582 O
0.2327 0.3650 0.6582 O
0.7673 0.6350 0.3418 O
0.6642 0.9958 0.8070 O
0.3358 0.0042 0.1930 O
0.6642 0.0042 0.6930 O
0.3358 0.9958 0.3070 O
0.7775 0.7263 0.1674 O
0.2225 0.2737 0.8326 O
0.7775 0.2737 0.3326 O
0.2225 0.7263 0.6674 O
0.8150 0.5508 0.0306 O
0.1850 0.4492 0.9694 O
0.8150 0.4492 0.4694 O
0.1850 0.5508 0.5306 O
0.7227 0.7365 0.6657 O
0.2773 0.2635 0.3343 O
0.7227 0.2635 0.8343 O
0.2773 0.7365 0.1657 O
0.8958 0.7581 0.7581 O
0.1042 0.2419 0.2419 O
0.8958 0.2419 0.7419 O
0.1042 0.7581 0.2581 O
0.9550 0.2925 0.0589 O
0.0450 0.7075 0.9411 O
0.9550 0.7075 0.4411 O
0.0450 0.2925 0.5589 O
0.7094 0.6112 0.5453 O
0.2906 0.3888 0.4547 O
0.7094 0.3888 0.9547 O
0.2906 0.6112 0.0453 O
0.4405 0.8749 0.9907 O
0.5595 0.1251 0.0093 O
0.4405 0.1251 0.5093 O
0.5595 0.8749 0.4907 O
0.5152 0.8000 0.8910 O
0.4848 0.2000 0.1090 O
0.5152 0.2000 0.6090 O
0.4848 0.8000 0.3910 O
0.7435 0.6258 0.8457 O
0.2565 0.3743 0.1543 O
0.7435 0.3743 0.6543 O
0.2565 0.6258 0.3457 O
0.3056 0.8749 0.7593 O
0.6944 0.1251 0.2407 O
0.3056 0.1251 0.7407 O
0.6944 0.8749 0.2593 O
0.9307 0.7755 0.0427 O
0.0693 0.2245 0.9573 O
0.9307 0.2245 0.4573 O
0.0693 0.7755 0.5427 O
0.7611 0.9982 0.5858 O
0.2389 0.0018 0.4142 O
0.7611 0.0018 0.9142 O
0.2389 0.9982 0.0858 O
0.2632 0.5000 0.7500 O
0.7368 0.5000 0.2500 O
```

Calculated values
As for the magnetization: 0.1 μB/cell. The space group is P2/c.

First-principles (GGA+U) data for a relaxed Li3V4FeO12 crystal, as listed in the Materials Project database.

Geometry as POSCAR:
```
Li3V4FeO12
1.0
5.0425 0.0000 0.0000
-0.0207 5.3540 0.0000
-0.0720 -0.6969 7.3744
Li V Fe O
3 4 1 12
Direct
0.5048 0.0707 0.2122 Li
0.0037 0.5711 0.2130 Li
0.4976 0.0693 0.7132 Li
0.0075 0.0108 0.9955 V
0.4893 0.4904 0.4984 V
0.9967 0.9940 0.4825 V
0.5103 0.5055 0.0102 V
0.9992 0.5806 0.7118 Fe
0.2900 0.7820 0.5885 O
0.1246 0.9646 0.2648 O
0.3092 0.1555 0.9596 O
0.1818 0.2798 0.5889 O
0.8114 0.2683 0.0771 O
0.3838 0.4616 0.2681 O
0.6353 0.4592 0.7567 O
0.1685 0.6532 0.9530 O
0.8275 0.6640 0.4675 O
0.6895 0.7742 0.0818 O
0.8731 0.9567 0.7737 O
0.6962 0.1476 0.4538 O
```

Calculated values
For the energy above the most stable polymorph in this dataset, the calculation gives 0.475 eV/f.u. As for the magnetization: 5.0 μB/cell. The space group is P1.

First-principles (GGA+U) data for a relaxed CaAl2V4O8 crystal, as listed in the Materials Project database.

Geometry as POSCAR:
```
CaAl2V4O8
1.0
5.3291 -0.0159 -3.0711
-3.5417 5.0207 -0.0117
0.0059 0.0295 6.1731
Ca Al V O
1 2 4 8
Direct
0.5000 0.5000 0.0000 Ca
0.0000 0.0000 0.0000 Al
0.5000 0.0000 0.0000 Al
0.5000 0.0000 0.5000 V
0.5000 0.5000 0.5000 V
0.0000 0.5000 0.0000 V
0.0000 0.5000 0.5000 V
0.0137 0.7809 0.2156 O
0.5139 0.7697 0.7580 O
0.4833 0.7811 0.2159 O
0.0252 0.7703 0.7802 O
0.5167 0.2189 0.7841 O
0.4861 0.2303 0.2420 O
0.9748 0.2297 0.2198 O
0.9863 0.2191 0.7844 O
```

Calculated values
As for the magnetization: 12.0 μB/cell. The space group is C2/m.

First-principles (GGA+U) data for a relaxed Co3SbO8 crystal, as listed in the Materials Project database.

Geometry as POSCAR:
```
Co3SbO8
1.0
-5.0722 2.4209 0.7452
0.7495 -5.4356 1.4271
2.3973 2.5066 8.4129
Co Sb O
6 2 16
Direct
0.8296 0.6611 0.7854 Co
0.3341 0.1675 0.7894 Co
0.8302 0.1690 0.7842 Co
0.1690 0.8302 0.2842 Co
0.6611 0.8296 0.2854 Co
0.1675 0.3341 0.2894 Co
0.6699 0.3383 0.5079 Sb
0.3383 0.6699 0.0079 Sb
0.8434 0.6847 0.4012 O
0.5127 0.4810 0.6676 O
0.6681 0.3302 0.8887 O
0.9963 0.0038 0.6900 O
0.0038 0.9963 0.1900 O
0.3186 0.1609 0.3984 O
0.9686 0.4819 0.6651 O
0.5140 0.0317 0.6669 O
0.1612 0.8435 0.8974 O
0.8435 0.1612 0.3974 O
0.4819 0.9686 0.1651 O
0.0317 0.5140 0.1669 O
0.3302 0.6681 0.3887 O
0.6847 0.8434 0.9012 O
0.4810 0.5127 0.1676 O
0.1609 0.3186 0.8984 O
```

Calculated values
For the energy above the most stable polymorph in this dataset, the calculation gives 0.180 eV/f.u. As for the magnetization: 0.1 μB/cell. The space group is Cc.

no.,energy of formation (eV per atom)
1,-1.908
2,-2.309
3,-2.439
4,-1.258